No. 1
Entry from the Materials Project database: an optimized crystal structure of Fe3O5F (PBE+U).

Theoretical density   4.54 g/cm3
Volume   10.829 A^3/atom
Total energy   -0.2247 hartree per atom
Energy of formation from the pure elements   -34.94 kcal/mol of atoms

The structure in POSCAR format:
```
Fe3O5F
1.0
4.638 0.000 0.000
0.173 5.509 0.000
0.216 0.600 7.629
Fe O F
6 10 2
direct
0.500 0.500 0.500
0.501 0.165 0.831
0.499 0.835 0.169
0.000 0.000 0.500
0.983 0.330 0.154
0.017 0.670 0.846
0.812 0.042 0.273
0.805 0.377 0.927
0.694 0.872 0.936
0.690 0.201 0.597
0.694 0.540 0.273
0.310 0.799 0.403
0.306 0.128 0.064
0.306 0.460 0.727
0.195 0.623 0.073
0.188 0.958 0.727
0.805 0.696 0.604
0.195 0.304 0.396
```


No. 2
Entry from the Materials Project database: an optimized crystal structure of Fe4OF7 (PBE+U).

Theoretical density   4.09 g/cm3
Volume   12.598 A^3/atom
Total energy   -0.2083 hartree per atom
Energy of formation from the pure elements   -55.22 kcal/mol of atoms

The structure in POSCAR format:
```
Fe4OF7
1.0
-5.305 -2.180 -1.108
0.219 -5.752 0.990
-2.664 1.077 8.848
Fe O F
8 2 14
direct
0.118 0.118 0.371
0.882 0.882 0.629
0.731 0.731 0.246
0.000 0.000 0.000
0.500 0.500 0.500
0.614 0.614 0.859
0.386 0.386 0.141
0.269 0.269 0.754
0.476 0.476 0.712
0.524 0.524 0.288
0.198 0.802 0.500
0.053 0.441 0.245
0.802 0.198 0.500
0.231 0.231 0.974
0.961 0.961 0.225
0.727 0.727 0.476
0.769 0.769 0.026
0.039 0.039 0.775
0.273 0.273 0.524
0.695 0.305 0.000
0.441 0.053 0.245
0.947 0.559 0.755
0.305 0.695 0.000
0.559 0.947 0.755
```


No. 3
Entry from the Materials Project database: an optimized crystal structure of Fe2O3F (PBE+U).

Theoretical density   4.51 g/cm3
Volume   10.973 A^3/atom
Total energy   -0.2241 hartree per atom
Energy of formation from the pure elements   -38.14 kcal/mol of atoms

The structure in POSCAR format:
```
Fe2O3F
1.0
3.004 9.375 0.000
-3.004 9.375 0.000
0.000 0.334 4.676
Fe O F
8 12 4
direct
0.741 0.741 0.465
0.500 0.500 0.500
0.000 0.000 0.500
0.259 0.259 0.535
0.370 0.881 0.999
0.119 0.630 0.001
0.881 0.370 0.999
0.630 0.119 0.001
0.331 0.331 0.822
0.080 0.080 0.821
0.451 0.952 0.693
0.701 0.202 0.694
0.952 0.451 0.693
0.202 0.701 0.694
0.798 0.299 0.306
0.299 0.798 0.306
0.048 0.549 0.307
0.549 0.048 0.307
0.920 0.920 0.179
0.669 0.669 0.178
0.824 0.824 0.798
0.575 0.575 0.800
0.425 0.425 0.200
0.176 0.176 0.202
```


No. 4
Entry from the Materials Project database: an optimized crystal structure of Fe4OF7 (PBE+U).

Theoretical density   4.18 g/cm3
Volume   12.315 A^3/atom
Total energy   -0.2086 hartree per atom
Energy of formation from the pure elements   -55.41 kcal/mol of atoms

The structure in POSCAR format:
```
Fe4OF7
1.0
-0.040 -2.017 9.365
2.817 -4.917 -1.047
5.735 0.695 0.174
Fe O F
8 2 14
direct
0.135 0.985 0.006
0.621 0.003 0.996
0.865 0.985 0.506
0.866 0.509 0.971
0.379 0.003 0.496
0.371 0.506 0.011
0.629 0.506 0.511
0.134 0.509 0.471
0.778 0.641 0.667
0.222 0.641 0.167
0.970 0.833 0.869
0.472 0.845 0.853
0.270 0.646 0.658
0.520 0.355 0.851
0.030 0.833 0.369
0.030 0.350 0.838
0.528 0.845 0.353
0.730 0.646 0.158
0.720 0.160 0.649
0.221 0.166 0.632
0.970 0.350 0.338
0.480 0.355 0.351
0.779 0.166 0.132
0.280 0.160 0.149
```


No. 5
Entry from the Materials Project database: an optimized crystal structure of Fe3O5F (PBE+U).

Theoretical density   4.55 g/cm3
Volume   10.798 A^3/atom
Total energy   -0.2252 hartree per atom
Energy of formation from the pure elements   -35.21 kcal/mol of atoms

The structure in POSCAR format:
```
Fe3O5F
1.0
-2.999 1.051 4.517
2.564 -2.139 4.399
3.195 5.430 3.817
Fe O F
6 10 2
direct
0.500 0.500 0.000
0.168 0.168 0.844
0.500 0.500 0.500
0.158 0.158 0.319
0.842 0.842 0.681
0.832 0.832 0.156
0.476 0.862 0.833
0.805 0.195 0.500
0.056 0.056 0.133
0.397 0.397 0.788
0.603 0.603 0.212
0.944 0.944 0.867
0.195 0.805 0.500
0.862 0.476 0.833
0.524 0.138 0.167
0.138 0.524 0.167
0.737 0.737 0.467
0.263 0.263 0.533
```


No. 6
Entry from the Materials Project database: an optimized crystal structure of Fe6O5F7 (PBE+U).

Theoretical density   4.31 g/cm3
Volume   11.738 A^3/atom
Total energy   -0.2170 hartree per atom
Energy of formation from the pure elements   -48.07 kcal/mol of atoms

The structure in POSCAR format:
```
Fe6O5F7
1.0
1.747 -5.266 -1.213
5.200 0.690 -2.177
4.777 -1.934 5.165
Fe O F
6 5 7
direct
0.333 0.667 0.000
0.005 0.331 0.857
0.311 0.689 0.500
0.984 0.300 0.341
0.700 0.016 0.659
0.669 0.995 0.143
0.889 0.219 0.136
0.233 0.566 0.800
0.434 0.767 0.200
0.781 0.111 0.864
0.039 0.961 0.500
0.315 0.027 0.829
0.614 0.386 0.500
0.569 0.906 0.463
0.094 0.431 0.537
0.695 0.638 0.832
0.362 0.305 0.168
0.973 0.685 0.171
```


No. 7
Entry from the Materials Project database: an optimized crystal structure of Fe6O7F5 (PBE+U).

Theoretical density   4.43 g/cm3
Volume   11.275 A^3/atom
Total energy   -0.2211 hartree per atom
Energy of formation from the pure elements   -43.49 kcal/mol of atoms

The structure in POSCAR format:
```
Fe6O7F5
1.0
-3.125 -0.738 3.379
3.966 -2.185 3.275
1.783 6.855 3.291
Fe O F
6 7 5
direct
0.539 0.840 0.654
0.498 0.498 0.001
0.477 0.168 0.351
0.009 0.332 0.689
0.983 0.661 0.314
0.985 0.999 0.987
0.801 0.044 0.771
0.801 0.704 0.093
0.690 0.542 0.770
0.698 0.869 0.424
0.302 0.127 0.571
0.308 0.461 0.234
0.198 0.296 0.911
0.809 0.367 0.440
0.707 0.201 0.117
0.300 0.800 0.892
0.203 0.960 0.221
0.192 0.631 0.561
```


No. 8
Entry from the Materials Project database: an optimized crystal structure of Fe10O11F9 (PBE+U).

Theoretical density   4.34 g/cm3
Volume   11.540 A^3/atom
Total energy   -0.2214 hartree per atom
Energy of formation from the pure elements   -45.08 kcal/mol of atoms

The structure in POSCAR format:
```
Fe10O11F9
1.0
-0.421 -11.533 -10.063
1.405 -3.016 3.398
-4.447 -1.030 1.367
Fe O F
10 11 9
direct
0.294 0.996 0.985
0.500 0.001 0.997
0.706 0.996 0.985
0.901 0.958 0.001
0.099 0.958 0.001
0.400 0.497 0.493
0.793 0.539 0.517
0.600 0.497 0.493
0.000 0.542 0.510
0.207 0.539 0.517
0.799 0.810 0.808
0.000 0.800 0.813
0.201 0.810 0.808
0.307 0.702 0.297
0.500 0.696 0.295
0.693 0.702 0.297
0.897 0.686 0.318
0.103 0.686 0.318
0.305 0.307 0.693
0.500 0.301 0.692
0.695 0.307 0.693
0.401 0.810 0.801
0.599 0.810 0.801
0.900 0.299 0.707
0.100 0.299 0.707
0.400 0.191 0.185
0.801 0.194 0.192
0.600 0.191 0.185
0.199 0.194 0.192
0.000 0.187 0.197
```


No. 9
Entry from the Materials Project database: an optimized crystal structure of Fe4O7F (PBE+U).

Theoretical density   4.60 g/cm3
Volume   10.667 A^3/atom
Total energy   -0.2253 hartree per atom
Energy of formation from the pure elements   -33.50 kcal/mol of atoms

The structure in POSCAR format:
```
Fe4O7F
1.0
-2.293 0.662 3.960
-0.564 -5.453 0.586
8.560 -1.332 5.179
Fe O F
8 14 2
direct
0.753 0.241 0.749
0.769 0.761 0.247
0.764 0.496 0.007
0.742 0.001 0.498
0.247 0.241 0.249
0.236 0.496 0.507
0.231 0.761 0.747
0.258 0.001 0.998
0.060 0.234 0.423
0.050 0.479 0.680
0.059 0.734 0.924
0.066 0.978 0.166
0.950 0.479 0.180
0.941 0.734 0.424
0.940 0.234 0.923
0.934 0.978 0.666
0.563 0.763 0.078
0.553 0.268 0.574
0.559 0.020 0.327
0.441 0.020 0.827
0.447 0.268 0.074
0.437 0.763 0.578
0.552 0.524 0.827
0.448 0.524 0.327
```


No. 10
Entry from the Materials Project database: an optimized crystal structure of Fe4OF7 (PBE+U).

Theoretical density   4.11 g/cm3
Volume   12.526 A^3/atom
Total energy   -0.2089 hartree per atom
Energy of formation from the pure elements   -55.58 kcal/mol of atoms

The structure in POSCAR format:
```
Fe4OF7
1.0
-5.308 0.261 2.324
-3.457 -4.083 -2.240
-1.438 -7.885 6.923
Fe O F
8 2 14
direct
0.127 0.127 0.754
0.377 0.377 0.249
0.257 0.747 0.504
0.747 0.257 0.504
0.510 0.994 0.004
0.868 0.868 0.239
0.617 0.617 0.737
0.994 0.510 0.004
0.546 0.546 0.602
0.800 0.800 0.101
0.054 0.054 0.601
0.241 0.719 0.848
0.257 0.785 0.154
0.007 0.534 0.654
0.534 0.007 0.654
0.696 0.696 0.892
0.447 0.447 0.400
0.202 0.202 0.904
0.302 0.302 0.101
0.971 0.491 0.347
0.491 0.971 0.347
0.719 0.241 0.848
0.785 0.257 0.154
0.951 0.951 0.395
```


No. 11
Entry from the Materials Project database: an optimized crystal structure of Fe3O2F4 (PBE+U).

Theoretical density   4.17 g/cm3
Volume   12.181 A^3/atom
Total energy   -0.2147 hartree per atom
Energy of formation from the pure elements   -50.23 kcal/mol of atoms

The structure in POSCAR format:
```
Fe3O2F4
1.0
4.840 0.000 0.000
0.000 5.773 0.000
0.000 0.676 7.847
Fe O F
6 4 8
direct
0.500 0.500 0.000
0.450 0.837 0.678
0.550 0.163 0.322
0.000 0.000 0.000
0.950 0.663 0.322
0.050 0.337 0.678
0.805 0.955 0.238
0.695 0.455 0.238
0.305 0.545 0.762
0.195 0.045 0.762
0.801 0.309 0.884
0.812 0.628 0.565
0.688 0.128 0.565
0.699 0.809 0.884
0.301 0.191 0.116
0.312 0.872 0.435
0.188 0.372 0.435
0.199 0.691 0.116
```


No. 12
Entry from the Materials Project database: an optimized crystal structure of Fe4O7F (PBE+U).

Theoretical density   4.59 g/cm3
Volume   10.679 A^3/atom
Total energy   -0.2254 hartree per atom
Energy of formation from the pure elements   -33.58 kcal/mol of atoms

The structure in POSCAR format:
```
Fe4O7F
1.0
4.619 0.000 0.000
0.000 4.620 0.000
0.000 0.007 12.008
Fe O F
8 14 2
direct
0.992 0.255 0.818
0.995 0.249 0.063
0.018 0.272 0.311
0.990 0.254 0.558
0.495 0.751 0.937
0.490 0.746 0.442
0.518 0.728 0.689
0.492 0.745 0.182
0.801 0.444 0.942
0.805 0.451 0.432
0.816 0.427 0.689
0.809 0.445 0.187
0.309 0.555 0.813
0.301 0.556 0.058
0.316 0.573 0.311
0.305 0.549 0.568
0.691 0.937 0.813
0.688 0.943 0.061
0.693 0.938 0.565
0.188 0.057 0.939
0.191 0.063 0.187
0.193 0.062 0.435
0.699 0.955 0.311
0.199 0.045 0.689
```